1.
Material: Sr2Fe2P3O12F2
Method: DFT, GGA+U
State: optimized geometry

Results
final energy	-0.504	Ry per atom
theoretical density	3.539	g/cm3
energy of formation	-266.7	kJ/mol of atoms
total magnetization	0.48	μB/atom

Cell lengths 8.2146, 8.8656, 8.9825 Å; angles 102.34, 115.76, 90.09 degrees
With the nearest neighbours (Å) after each atom.
Space group P-1 (No. 2)
Symmetry-distinct sites (fractional):
Sr1 0.1078 0.2987 0.4198 [2 per cell]  3 F 2.55-2.65, 5 O 2.60-2.75
Sr2 0.3019 0.8024 0.4280 [2 per cell]  6 O 2.60-2.81, 3 F 2.61-2.83
Fe1 0.1722 0.4283 0.8353 [2 per cell]  5 O 1.94-2.05, 1 F 2.10
Fe2 0.3307 0.0772 0.1631 [2 per cell]  5 O 1.92-2.05, 1 F 2.12
P1 0.0503 0.7451 0.0013 [2 per cell]  4 O 1.54-1.55
P2 0.2664 0.0533 0.7556 [2 per cell]  4 O 1.53-1.56
P3 0.4998 0.4373 0.2419 [2 per cell]  4 O 1.53-1.55
O1 0.0178 0.6527 0.1150 [2 per cell]  1 P 1.54
O2 0.1213 0.9243 0.6123 [2 per cell]  1 P 1.56
O3 0.1246 0.2057 0.1299 [2 per cell]  1 P 1.55
O4 0.1315 0.6494 0.8892 [2 per cell]  1 P 1.55
O5 0.1859 0.8844 0.1329 [2 per cell]  1 P 1.55
O6 0.2040 0.2121 0.7197 [2 per cell]  1 P 1.55
O7 0.2918 0.0396 0.9311 [2 per cell]  1 P 1.53
O8 0.3058 0.4920 0.7096 [2 per cell]  1 P 1.55
O9 0.3733 0.4321 0.0548 [2 per cell]  1 P 1.53
O10 0.4241 0.5407 0.3552 [2 per cell]  1 P 1.55
O11 0.4444 0.0314 0.7360 [2 per cell]  1 P 1.55
O12 0.4862 0.7280 0.7254 [2 per cell]  1 P 1.55
F1 0.0534 0.5897 0.4007 [2 per cell]  1 Fe 2.10
F2 0.3494 0.1130 0.4110 [2 per cell]  1 Fe 2.12

***

2.
Material: SrFePO4F2
Method: DFT, GGA+U
State: optimized geometry

Results
final energy	-0.489	Ry per atom
theoretical density	4.032	g/cm3
energy of formation	-285.2	kJ/mol of atoms
total magnetization	0.56	μB/atom

Cell lengths 5.2664, 12.4417, 7.8387 Å; angles 90.00, 117.56, 90.00 degrees
With the nearest neighbours (Å) after each atom.
Space group P2_1/c (No. 14)
Symmetry-distinct sites (fractional):
Sr1 0.1455 0.2062 0.1875 [4 per cell]  3 F 2.55-2.60, 3 O 2.63-2.83
Fe1 0.0000 0.0000 0.5000 [2 per cell]  4 O 1.94-2.08, 2 F 2.03
Fe2 0.5000 0.0000 0.0000 [2 per cell]  4 F 1.97-2.00, 2 O 1.99
P1 0.3704 0.6148 0.8048 [4 per cell]  4 O 1.53-1.58
O1 0.2239 0.6006 0.9353 [4 per cell]  1 P 1.55
O2 0.2627 0.7184 0.6886 [4 per cell]  1 P 1.53
O3 0.2958 0.1228 0.5578 [4 per cell]  1 P 1.58
O4 0.3180 0.5151 0.6718 [4 per cell]  1 P 1.56
F1 0.1600 0.5594 0.2718 [4 per cell]  2 Fe 2.00-2.03
F2 0.3310 0.1447 0.9492 [4 per cell]  1 Fe 1.97

***

- Which value of energy of formation does entry 1 give?
  -266.7 kJ/mol of atoms

***

- Among the records above, which one has the highest total magnetization?
  SrFePO4F2

***

- Which value of energy of formation does entry 1 give?
  -266.7 kJ/mol of atoms